(1)
Computed, not measured: crystalline Mg4SnN4 at its relaxed geometry at the GGA-PBE level of DFT.

abc: 5.589 5.633 8.432
angles: 70.94 83.01 68.42
Space group P-1 (No. 2)
Asymmetric unit:
Mg1 0.224 0.332 0.282 [2 per cell]
Mg2 0.236 0.560 0.927 [2 per cell]
Mg3 0.240 0.991 0.080 [2 per cell]
Mg4 0.252 0.744 0.501 [2 per cell]
Sn1 0.229 0.117 0.716 [2 per cell]
N1 0.004 0.090 0.304 [2 per cell]
N2 0.010 0.314 0.885 [2 per cell]
N3 0.346 0.341 0.500 [2 per cell]
N4 0.496 0.799 0.898 [2 per cell]

* E_form: -6.06 eV per formula unit
* calculated volume: 233.3 Å³/cell

***

(2)
Computed, not measured: crystalline MgTaN2 at its relaxed geometry at the GGA-PBE level of DFT.

abc: 4.319 4.319 8.889
angles: 90.00 90.00 90.00
Space group I4_1/amd (No. 141, origin choice 2)
Asymmetric unit:
Mg1 0.000 0.250 0.375 [4 per cell]
Ta1 0.000 0.250 0.875 [4 per cell]
N1 0.000 0.250 0.127 [8 per cell]

* E_form: -5.10 eV per formula unit
* calculated volume: 165.8 Å³/cell

***

(3)
Computed, not measured: crystalline MgTa2N3 at its relaxed geometry at the GGA-PBE level of DFT.

abc: 3.092 4.335 9.377
angles: 90.00 90.00 90.00
Space group Immm (No. 71)
Asymmetric unit:
Mg1 0.000 0.000 0.000 [2 per cell]
Ta1 0.000 0.000 0.333 [4 per cell]
N1 0.000 0.500 0.000 [2 per cell]
N2 0.000 0.500 0.339 [4 per cell]

* E_form: -7.45 eV per formula unit
* calculated volume: 125.7 Å³/cell
* energy above the most stable polymorph in this dataset: 0.138 eV/atom

***

(4)
Computed, not measured: crystalline MgTa2N3 at its relaxed geometry at the GGA-PBE level of DFT.

abc: 5.2486 5.2486 10.4834
angles: 90.00 90.00 120.00
Space group P6_3/mcm (No. 193)
Asymmetric unit:
Mg1 0.3333 0.6667 0.0000 [4 per cell]
Ta1 0.0000 0.0000 0.0000 [2 per cell]
Ta2 0.0000 0.3358 0.2500 [6 per cell]
N1 0.0000 0.3297 0.6202 [12 per cell]

* E_form: -8.28 eV per formula unit
* calculated volume: 250.1 Å³/cell
* energy above the most stable polymorph in this dataset: 0.000 eV/atom

***

(5)
Computed, not measured: crystalline MgTaN2 at its relaxed geometry at the GGA-PBE level of DFT.

abc: 3.104 3.104 4.293
angles: 90.00 90.00 90.00
Space group P4/mmm (No. 123)
Asymmetric unit:
Mg1 0.000 0.000 0.000 [1 per cell]
Ta1 0.500 0.500 0.500 [1 per cell]
N1 0.000 0.000 0.500 [1 per cell]
N2 0.500 0.500 0.000 [1 per cell]

* E_form: -5.01 eV per formula unit
* calculated volume: 41.4 Å³/cell

***

(6)
Computed, not measured: crystalline Mg2Ta3N5 at its relaxed geometry at the GGA-PBE level of DFT.

abc: 5.359 15.499 5.319
angles: 90.00 109.14 90.00
Space group C2/c (No. 15)
Asymmetric unit:
Mg1 0.000 0.051 0.250 [4 per cell]
Mg2 0.000 0.248 0.250 [4 per cell]
Ta1 0.000 0.147 0.750 [4 per cell]
Ta2 0.000 0.351 0.750 [4 per cell]
Ta3 0.000 0.454 0.250 [4 per cell]
N1 0.240 0.049 0.002 [8 per cell]
N2 0.245 0.350 0.500 [8 per cell]
N3 0.250 0.250 0.000 [4 per cell]

* E_form: -12.61 eV per formula unit
* calculated volume: 417.4 Å³/cell

***

(7)
Computed, not measured: crystalline MgTeN2 at its relaxed geometry at the GGA-PBE level of DFT.

abc: 6.387 7.636 5.496
angles: 90.00 90.00 90.00
Space group Pna2_1 (No. 33)
Asymmetric unit:
Mg1 0.038 0.127 0.000 [4 per cell]
Te1 0.143 0.650 0.025 [4 per cell]
N1 0.040 0.142 0.388 [4 per cell]
N2 0.197 0.728 0.349 [4 per cell]

* E_form: -0.34 eV per formula unit
* calculated volume: 268.0 Å³/cell

***

(8)
Computed, not measured: crystalline MgTiN2 at its relaxed geometry at the GGA-PBE level of DFT.

abc: 6.124 4.283 7.121
angles: 90.00 90.00 90.00
Space group Pnma (No. 62)
Asymmetric unit:
Mg1 0.084 0.250 0.120 [4 per cell]
Ti1 0.077 0.250 0.628 [4 per cell]
N1 0.071 0.750 0.612 [4 per cell]
N2 0.097 0.750 0.140 [4 per cell]

* E_form: -5.88 eV per formula unit
* calculated volume: 186.8 Å³/cell

***

(9)
Computed, not measured: crystalline Mg4TiN4 at its relaxed geometry at the GGA-PBE level of DFT.

abc: 5.465 5.483 8.284
angles: 70.71 83.61 68.93
Space group P-1 (No. 2)
Asymmetric unit:
Mg1 0.227 0.324 0.296 [2 per cell]
Mg2 0.237 0.554 0.926 [2 per cell]
Mg3 0.242 0.979 0.087 [2 per cell]
Mg4 0.255 0.740 0.503 [2 per cell]
Ti1 0.222 0.107 0.730 [2 per cell]
N1 0.006 0.915 0.696 [2 per cell]
N2 0.010 0.309 0.879 [2 per cell]
N3 0.341 0.319 0.527 [2 per cell]
N4 0.493 0.809 0.892 [2 per cell]

* E_form: -10.25 eV per formula unit
* calculated volume: 218.6 Å³/cell

***

(10)
Computed, not measured: crystalline MgTiN2 at its relaxed geometry at the GGA-PBE level of DFT.

abc: 3.0300 3.0300 15.0356
angles: 90.00 90.00 120.00
Space group R-3m (No. 166, hexagonal axes)
Asymmetric unit:
Mg1 0.0000 0.0000 0.0000 [3 per cell]
Ti1 0.0000 0.0000 0.5000 [3 per cell]
N1 0.0000 0.0000 0.2431 [6 per cell]

* E_form: -5.97 eV per formula unit
* calculated volume: 119.5 Å³/cell

***

(11)
Computed, not measured: crystalline Mg2TiN2 at its relaxed geometry at the GGA-PBE level of DFT.

abc: 9.918 4.421 6.192
angles: 90.00 111.51 90.00
Space group C2/m (No. 12)
Asymmetric unit:
Mg1 0.007 0.000 0.236 [4 per cell]
Mg2 0.167 0.500 0.087 [4 per cell]
Ti1 0.155 0.500 0.612 [4 per cell]
N1 0.001 0.500 0.729 [4 per cell]
N2 0.177 0.000 0.107 [4 per cell]

* E_form: -5.09 eV per formula unit
* calculated volume: 252.6 Å³/cell

***

(12)
Computed, not measured: crystalline Mg3V2N4 at its relaxed geometry at the GGA-PBE level of DFT.

abc: 10.268 7.249 5.555
angles: 90.00 91.31 90.00
Space group C2/c (No. 15)
Asymmetric unit:
Mg1 0.000 0.098 0.250 [4 per cell]
Mg2 0.111 0.380 0.470 [8 per cell]
V1 0.193 0.127 0.899 [8 per cell]
N1 0.112 0.336 0.077 [8 per cell]
N2 0.141 0.092 0.568 [8 per cell]

* E_form: -7.30 eV per formula unit
* calculated volume: 413.4 Å³/cell

***

(13)
Computed, not measured: crystalline Mg2VN3 at its relaxed geometry at the GGA-PBE level of DFT.

abc: 9.920 5.823 5.120
angles: 90.00 90.00 90.00
Space group Cmc2_1 (No. 36)
Asymmetric unit:
Mg1 0.165 0.166 0.000 [8 per cell]
V1 0.000 0.337 0.496 [4 per cell]
N1 0.000 0.364 0.133 [4 per cell]
N2 0.149 0.184 0.585 [8 per cell]

* E_form: -6.77 eV per formula unit
* maximum piezoelectric response: 1.95 C/m2
* calculated volume: 295.7 Å³/cell

***

(14)
Computed, not measured: crystalline MgW2N2 at its relaxed geometry at the GGA-PBE level of DFT.

abc: 3.291 3.291 7.162
angles: 90.00 90.00 90.00
Space group P-4m2 (No. 115)
Asymmetric unit:
Mg1 0.000 0.000 0.000 [1 per cell]
W1 0.500 0.500 0.321 [2 per cell]
N1 0.000 0.500 0.817 [2 per cell]

* E_form: -0.42 eV per formula unit
* calculated volume: 77.6 Å³/cell

***

(15)
Computed, not measured: crystalline MgZn2N2 at its relaxed geometry at the GGA-PBE level of DFT.

abc: 3.3473 3.3473 5.8284
angles: 90.00 90.00 120.00
Space group P-3m1 (No. 164)
Asymmetric unit:
Mg1 0.0000 0.0000 0.0000 [1 per cell]
Zn1 0.3333 0.6667 0.6542 [2 per cell]
N1 0.3333 0.6667 0.2306 [2 per cell]

* E_form: -1.57 eV per formula unit
* calculated volume: 56.6 Å³/cell

***

(16)
Computed, not measured: crystalline MgZrN2 at its relaxed geometry at the GGA-PBE level of DFT.

abc: 6.470 4.505 7.459
angles: 90.00 90.00 90.00
Space group Pnma (No. 62)
Asymmetric unit:
Mg1 0.079 0.250 0.119 [4 per cell]
Zr1 0.089 0.250 0.631 [4 per cell]
N1 0.081 0.750 0.616 [4 per cell]
N2 0.082 0.750 0.129 [4 per cell]

* E_form: -5.94 eV per formula unit
* calculated volume: 217.4 Å³/cell

***

(17)
Computed, not measured: crystalline MgZrN2 at its relaxed geometry at the GGA-PBE level of DFT.

abc: 4.494 4.494 9.259
angles: 90.00 90.00 90.00
Space group I4_1/amd (No. 141, origin choice 2)
Asymmetric unit:
Mg1 0.000 0.250 0.375 [4 per cell]
Zr1 0.000 0.250 0.875 [4 per cell]
N1 0.000 0.250 0.116 [8 per cell]

* E_form: -6.04 eV per formula unit
* calculated volume: 187.0 Å³/cell

***

(18)
Computed, not measured: crystalline Mg4ZrN4 at its relaxed geometry at the GGA-PBE level of DFT.

abc: 5.646 5.691 8.458
angles: 70.45 81.14 67.40
Space group P-1 (No. 2)
Asymmetric unit:
Mg1 0.218 0.334 0.283 [2 per cell]
Mg2 0.241 0.553 0.928 [2 per cell]
Mg3 0.245 0.997 0.081 [2 per cell]
Mg4 0.257 0.736 0.500 [2 per cell]
Zr1 0.230 0.110 0.718 [2 per cell]
N1 0.007 0.083 0.304 [2 per cell]
N2 0.023 0.319 0.883 [2 per cell]
N3 0.347 0.339 0.495 [2 per cell]
N4 0.495 0.800 0.900 [2 per cell]

* E_form: -9.65 eV per formula unit
* calculated volume: 236.3 Å³/cell

***

(19)
Computed, not measured: crystalline NaMg at its relaxed geometry at the GGA-PBE level of DFT.

abc: 5.531 3.291 6.202
angles: 90.00 90.00 90.00
Space group Pmma (No. 51)
Asymmetric unit:
Na1 0.250 0.000 0.151 [2 per cell]
Mg1 0.250 0.500 0.635 [2 per cell]

* E_form: 0.22 eV per formula unit
* calculated volume: 112.9 Å³/cell

***

(20)
Computed, not measured: crystalline Na3Mg at its relaxed geometry at the GGA-PBE level of DFT.

abc: 7.2606 7.2606 5.7123
angles: 90.00 90.00 120.00
Space group P6_3/mmc (No. 194)
Asymmetric unit:
Na1 0.1716 0.3432 0.2500 [6 per cell]
Mg1 0.3333 0.6667 0.7500 [2 per cell]

* E_form: 0.34 eV per formula unit
* calculated volume: 260.8 Å³/cell

***

(21)
Computed, not measured: crystalline Na3Mg at its relaxed geometry at the GGA-PBE level of DFT.

abc: 5.058 5.058 5.058
angles: 90.00 90.00 90.00
Space group Pm-3m (No. 221)
Asymmetric unit:
Na1 0.000 0.000 0.500 [3 per cell]
Mg1 0.500 0.500 0.500 [1 per cell]

* E_form: 0.38 eV per formula unit
* calculated volume: 129.4 Å³/cell